# LaMg4Cu meta-GGA r2SCAN optimized geometry
# Raw total energy   -9.67 eV/atom
# Total moment   0.00 μB per formula unit
data_LaMg4Cu
_chemical_formula_sum 'La3 Mg12 Cu3'
_cell_length_a 10.3685
_cell_length_b 10.3685
_cell_length_c 4.4779
_cell_angle_alpha 90.00
_cell_angle_beta 90.00
_cell_angle_gamma 120.00
_space_group_name_H-M_alt 'P -6 2 m'
_space_group_IT_number 189
_space_group_name_Hall 'P -6 -2'
loop_
_atom_site_label
_atom_site_fract_x
_atom_site_fract_y
_atom_site_fract_z
_atom_site_occupancy
La1 0.0000 0.4070 0.0000 1
Mg1 0.0000 0.1650 0.5000 1
Mg2 0.0000 0.7474 0.0000 1
Mg3 0.1849 0.7040 0.5000 1
Cu1 0.0000 0.0000 0.0000 1
Cu2 0.3333 0.6667 0.0000 1